No. 1
Compound: MgTe4Mo2WS2
Source: the Materials Project database
Functional: PBE-GGA
Structure: optimized geometry

Structure (CIF):
```
data_MgTe4Mo2WS2
_cell_length_a 3.4031
_cell_length_b 3.4034
_cell_length_c 31.6991
_cell_angle_alpha 90.00
_cell_angle_beta 90.00
_cell_angle_gamma 60.01
_symmetry_space_group_name_H-M 'P 1'
_symmetry_Int_Tables_number 1
_symmetry_space_group_name_Hall 'P 1'
loop_
_atom_site_label
_atom_site_fract_x
_atom_site_fract_y
_atom_site_fract_z
_atom_site_occupancy
Mg1 0.0000 0.0000 0.0000 1
Te1 0.9766 0.0320 0.2140 1
Te2 0.9766 0.0320 0.3320 1
Te3 0.9766 0.0320 0.6767 1
Te4 0.9766 0.0320 0.7946 1
Mo1 0.6432 0.6987 0.2730 1
Mo2 0.6432 0.6987 0.7357 1
W1 0.9766 0.0319 0.5043 1
S1 0.6433 0.6986 0.4570 1
S2 0.6433 0.6986 0.5517 1
```

Formation energy = -0.372 eV per atom

No. 2
Compound: MgTe2Mo2WS4
Source: the Materials Project database
Functional: PBE-GGA
Structure: optimized geometry

Structure (CIF):
```
data_MgTe2Mo2WS4
_cell_length_a 3.2980
_cell_length_b 3.2980
_cell_length_c 30.2529
_cell_angle_alpha 90.00
_cell_angle_beta 90.00
_cell_angle_gamma 60.00
_symmetry_space_group_name_H-M 'P 1'
_symmetry_Int_Tables_number 1
_symmetry_space_group_name_Hall 'P 1'
loop_
_atom_site_label
_atom_site_fract_x
_atom_site_fract_y
_atom_site_fract_z
_atom_site_occupancy
Mg1 0.0000 0.0000 0.0000 1
Te1 0.9716 0.9043 0.6532 1
Te2 0.9716 0.9042 0.7797 1
Mo1 0.6383 0.5709 0.7165 1
Mo2 0.9717 0.9043 0.4850 1
W1 0.6382 0.5709 0.2538 1
S1 0.6383 0.5710 0.4345 1
S2 0.6383 0.5710 0.5356 1
S3 0.9716 0.9042 0.2030 1
S4 0.9715 0.9042 0.3045 1
```

Formation energy = -0.657 eV per atom

No. 3
Compound: MgTe2Mo2WS4
Source: the Materials Project database
Functional: PBE-GGA
Structure: optimized geometry

Structure (CIF):
```
data_MgTe2Mo2WS4
_cell_length_a 5.7272
_cell_length_b 3.3059
_cell_length_c 35.9066
_cell_angle_alpha 90.00
_cell_angle_beta 90.21
_cell_angle_gamma 90.00
_symmetry_space_group_name_H-M 'C 1 m 1'
_symmetry_Int_Tables_number 8
_symmetry_space_group_name_Hall 'C -2y'
loop_
_atom_site_label
_atom_site_fract_x
_atom_site_fract_y
_atom_site_fract_z
_atom_site_occupancy
Mg1 0.0000 0.0000 0.0000 1
Te1 0.3307 0.0000 0.2910 1
Te2 0.3335 0.0000 0.3977 1
Mo1 0.3323 0.0000 0.1171 1
Mo2 0.4988 0.5000 0.3444 1
W1 0.0006 0.0000 0.8721 1
S1 0.0001 0.0000 0.1593 1
S2 0.3328 0.0000 0.8295 1
S3 0.3349 0.0000 0.9149 1
S4 0.4980 0.5000 0.0744 1
```

Formation energy = -0.696 eV per atom

No. 4
Compound: MgTe4Mo2WS2
Source: the Materials Project database
Functional: PBE-GGA
Structure: optimized geometry

Structure (CIF):
```
data_MgTe4Mo2WS2
_cell_length_a 5.9048
_cell_length_b 3.4093
_cell_length_c 31.5980
_cell_angle_alpha 90.00
_cell_angle_beta 90.00
_cell_angle_gamma 90.00
_symmetry_space_group_name_H-M 'C 1 m 1'
_symmetry_Int_Tables_number 8
_symmetry_space_group_name_Hall 'C -2y'
loop_
_atom_site_label
_atom_site_fract_x
_atom_site_fract_y
_atom_site_fract_z
_atom_site_occupancy
Mg1 0.0000 0.0000 0.0000 1
Te1 0.0416 0.5000 0.2059 1
Te2 0.0417 0.5000 0.3248 1
Te3 0.0416 0.5000 0.6688 1
Te4 0.0417 0.5000 0.7871 1
Mo1 0.0416 0.5000 0.4966 1
Mo2 0.2083 0.0000 0.7281 1
W1 0.2083 0.0000 0.2653 1
S1 0.2083 0.0000 0.4492 1
S2 0.2083 0.0000 0.5441 1
```

Formation energy = -0.331 eV per atom

No. 5
Compound: MgTe4Mo2WS2
Source: the Materials Project database
Functional: PBE-GGA
Structure: optimized geometry

Structure (CIF):
```
data_MgTe4Mo2WS2
_cell_length_a 5.9514
_cell_length_b 3.4347
_cell_length_c 36.5972
_cell_angle_alpha 90.00
_cell_angle_beta 90.17
_cell_angle_gamma 90.00
_symmetry_space_group_name_H-M 'C 1 m 1'
_symmetry_Int_Tables_number 8
_symmetry_space_group_name_Hall 'C -2y'
loop_
_atom_site_label
_atom_site_fract_x
_atom_site_fract_y
_atom_site_fract_z
_atom_site_occupancy
Mg1 0.0000 0.0000 0.0000 1
Te1 0.3334 0.0000 0.0825 1
Te2 0.3339 0.0000 0.6146 1
Te3 0.3347 0.0000 0.1845 1
Te4 0.3349 0.0000 0.7168 1
Mo1 0.1677 0.5000 0.1338 1
Mo2 0.3352 0.0000 0.8894 1
W1 0.1679 0.5000 0.6657 1
S1 0.1670 0.5000 0.8490 1
S2 0.1702 0.5000 0.9303 1
```

Formation energy = -0.365 eV per atom

No. 6
Compound: MgTe4MoW2S2
Source: the Materials Project database
Functional: PBE-GGA
Structure: optimized geometry

Structure (CIF):
```
data_MgTe4MoW2S2
_cell_length_a 5.9173
_cell_length_b 3.4116
_cell_length_c 38.1866
_cell_angle_alpha 90.00
_cell_angle_beta 92.14
_cell_angle_gamma 90.00
_symmetry_space_group_name_H-M 'C 1 m 1'
_symmetry_Int_Tables_number 8
_symmetry_space_group_name_Hall 'C -2y'
loop_
_atom_site_label
_atom_site_fract_x
_atom_site_fract_y
_atom_site_fract_z
_atom_site_occupancy
Mg1 0.0000 0.0000 0.0000 1
Te1 0.0091 0.0000 0.1790 1
Te2 0.0101 0.0000 0.7114 1
Te3 0.4860 0.5000 0.0811 1
Te4 0.4871 0.5000 0.6131 1
Mo1 0.3309 0.0000 0.1301 1
W1 0.0121 0.0000 0.8839 1
W2 0.3319 0.0000 0.6622 1
S1 0.3359 0.0000 0.8448 1
S2 0.3550 0.0000 0.9233 1
```

Formation energy = -0.347 eV per atom

No. 7
Compound: MgTe4MoW2S2
Source: the Materials Project database
Functional: PBE-GGA
Structure: optimized geometry

Structure (CIF):
```
data_MgTe4MoW2S2
_cell_length_a 5.9071
_cell_length_b 3.4121
_cell_length_c 38.9117
_cell_angle_alpha 90.00
_cell_angle_beta 90.04
_cell_angle_gamma 90.00
_symmetry_space_group_name_H-M 'C 1 m 1'
_symmetry_Int_Tables_number 8
_symmetry_space_group_name_Hall 'C -2y'
loop_
_atom_site_label
_atom_site_fract_x
_atom_site_fract_y
_atom_site_fract_z
_atom_site_occupancy
Mg1 0.0000 0.0000 0.0000 1
Te1 0.3330 0.0000 0.2936 1
Te2 0.3334 0.0000 0.3895 1
Te3 0.3331 0.0000 0.8244 1
Te4 0.3337 0.0000 0.9214 1
Mo1 0.1666 0.5000 0.3416 1
W1 0.1668 0.5000 0.8727 1
W2 0.3333 0.0000 0.1201 1
S1 0.1666 0.5000 0.0814 1
S2 0.1668 0.5000 0.1586 1
```

Formation energy = -0.340 eV per atom

No. 8
Compound: MgTe4MoW2S2
Source: the Materials Project database
Functional: PBE-GGA
Structure: optimized geometry

Structure (CIF):
```
data_MgTe4MoW2S2
_cell_length_a 3.4095
_cell_length_b 3.4095
_cell_length_c 38.0921
_cell_angle_alpha 90.00
_cell_angle_beta 90.00
_cell_angle_gamma 120.00
_symmetry_space_group_name_H-M 'P 3 m 1'
_symmetry_Int_Tables_number 156
_symmetry_space_group_name_Hall 'P 3 -2"'
loop_
_atom_site_label
_atom_site_fract_x
_atom_site_fract_y
_atom_site_fract_z
_atom_site_occupancy
Mg1 0.0000 0.0000 0.0000 1
Te1 0.6667 0.3333 0.2923 1
Te2 0.6667 0.3333 0.3909 1
Te3 0.6667 0.3333 0.8240 1
Te4 0.6667 0.3333 0.9225 1
Mo1 0.3333 0.6667 0.8731 1
W1 0.3333 0.6667 0.3416 1
W2 0.6667 0.3333 0.1198 1
S1 0.3333 0.6667 0.0803 1
S2 0.3333 0.6667 0.1591 1
```

Formation energy = -0.342 eV per atom

Sequential calculated total energy output: -5.98; -6.36; -6.40; -5.94; -5.97; -6.17; -6.16; -6.16 eV/atom
Sequential total moment output: 0.0; 0.0; 0.0; 0.0; 0.0; 0.0; 0.0; 0.0 μB/f.u.